! Ba4Fe2MoWO12 (PBE with a Hubbard U, optimized geometry); values from VASP
&SYSTEM
  ibrav = 0, nat = 20, ntyp = 5
/
ATOMIC_SPECIES
Ba 137.33 Ba.upf
O 16.00 O.upf
Fe 55.84 Fe.upf
W 183.84 W.upf
Mo 95.94 Mo.upf
ATOMIC_POSITIONS angstrom
Ba 24.5071 0.0000 4.3393
Ba 10.5666 0.0000 1.8709
Ba 3.5469 0.0000 0.6280
Ba 17.4873 0.0000 3.0963
O 19.6635 -1.5088 4.3663
O 20.1192 0.0000 1.7930
O 15.3648 -1.4713 1.8578
O 14.9205 0.0000 4.3672
O 12.6891 1.4713 3.1095
O 7.9348 0.0000 3.1743
O 15.3648 1.4713 1.8578
O 8.3904 -1.5088 0.6010
O 19.6635 1.5088 4.3663
O 8.3904 1.5088 0.6010
O 13.1334 0.0000 0.6001
O 12.6891 -1.4713 3.1095
Fe 6.9137 0.0000 1.2242
Fe 21.1402 0.0000 3.7431
W 0.0000 0.0000 0.0000
Mo 14.0270 0.0000 2.4836
CELL_PARAMETERS angstrom
9.6445 -2.9125 0.0000
9.6445 2.9125 0.0000
8.7650 0.0000 4.9673
! **Symmetry**: R-3m
! **Calculated formation energy**: -2.304 eV/atom

=====

! BaNaNdFeO6 (PBE with a Hubbard U, optimized geometry); values from VASP
&SYSTEM
  ibrav = 0, nat = 10, ntyp = 5
/
ATOMIC_SPECIES
O 16.00 O.upf
Nd 144.24 Nd.upf
Fe 55.84 Fe.upf
Na 22.99 Na.upf
Ba 137.33 Ba.upf
ATOMIC_POSITIONS angstrom
O 6.3669 2.6134 -5.4539
O 4.3233 5.1480 -5.6498
O 3.1887 2.1962 -4.8507
O 5.3476 2.0267 -2.4117
O 3.3041 4.5613 -2.6075
O 6.4822 4.9785 -3.2108
Nd 4.8355 3.5874 -4.0307
Fe 0.0000 0.0000 0.0000
Na 2.4177 1.7937 -2.0154
Ba 7.2532 5.3810 -6.0461
CELL_PARAMETERS angstrom
5.7644 0.7567 -1.0941
1.8487 1.0642 -5.5180
2.0578 5.3538 -1.4493
! **Symmetry**: F-43m
! **Calculated formation energy**: -2.177 eV/atom

=====

! Ba2NbFeO6 (PBE with a Hubbard U, optimized geometry); values from VASP
&SYSTEM
  ibrav = 0, nat = 40, ntyp = 4
/
ATOMIC_SPECIES
O 16.00 O.upf
Fe 55.84 Fe.upf
Nb 92.91 Nb.upf
Ba 137.33 Ba.upf
ATOMIC_POSITIONS angstrom
O 1.4948 0.8630 16.9229
O 1.4632 -2.5343 0.0000
O 1.3501 0.7795 4.8097
O 2.9263 0.0000 9.6195
O 1.4948 -0.8630 2.3160
O 2.9263 0.0000 0.0000
O 4.3579 0.8630 16.9229
O 1.3501 -0.7795 14.4292
O 4.5026 0.7795 4.8097
O 1.4948 0.8630 11.9355
O 4.3579 -0.8630 7.3035
O 4.3579 -0.8630 2.3160
O 1.4632 -2.5343 9.6195
O 2.9263 -3.3426 2.3160
O 1.4632 2.5343 0.0000
O 2.9263 3.5096 4.8097
O 2.9263 -3.5096 14.4292
O 4.5026 -0.7795 14.4292
O 2.9263 3.3426 16.9229
O 1.4948 -0.8630 7.3035
O 2.9263 3.3426 11.9355
O 2.9263 -3.3426 7.3035
O 4.3579 0.8630 11.9355
O 1.4632 2.5343 9.6195
Fe 0.0000 0.0000 15.7294
Fe 0.0000 0.0000 6.1100
Fe 0.0000 0.0000 3.5095
Fe 0.0000 0.0000 13.1289
Nb 2.9263 1.6895 10.8446
Nb 2.9263 -1.6895 8.3943
Nb 2.9263 -1.6895 1.2252
Nb 2.9263 1.6895 18.0137
Ba 2.9263 -1.6895 16.5116
Ba 2.9263 1.6895 2.7273
Ba 2.9263 1.6895 14.4292
Ba 2.9263 1.6895 6.8921
Ba 0.0000 0.0000 9.6195
Ba 2.9263 -1.6895 4.8097
Ba 0.0000 0.0000 0.0000
Ba 2.9263 -1.6895 12.3468
CELL_PARAMETERS angstrom
2.9263 -5.0686 0.0000
2.9263 5.0686 0.0000
0.0000 0.0000 19.2389
! **Symmetry**: P6_3/mmc
! **Calculated formation energy**: -2.873 eV/atom

=====

! BaNb4Fe2O14 (PBE with a Hubbard U, optimized geometry); values from VASP
&SYSTEM
  ibrav = 0, nat = 42, ntyp = 4
/
ATOMIC_SPECIES
O 16.00 O.upf
Nb 92.91 Nb.upf
Fe 55.84 Fe.upf
Ba 137.33 Ba.upf
ATOMIC_POSITIONS angstrom
O 0.1879 -3.7486 8.2093
O -2.1290 -4.3869 6.9436
O 3.0526 -2.3359 8.3849
O -0.6251 -6.7028 8.3037
O -0.0176 -3.7856 5.5837
O -4.2329 -2.3488 7.1769
O 3.5902 -8.1395 6.7105
O 2.1245 -4.0343 10.6213
O 0.7904 -1.3917 10.0214
O -3.2086 -3.8192 9.6370
O -0.5385 -9.0572 10.0916
O -0.8307 -6.7398 5.6782
O -0.6462 -4.3456 2.5936
O -3.5364 -3.9905 3.1795
O 5.1592 -7.2847 9.0100
O 0.8935 -7.6076 1.8395
O -1.4331 -9.0966 3.8660
O 2.0913 -3.3691 3.4620
O -0.1042 -1.4312 3.7959
O -2.7340 -7.1193 10.4254
O 1.4862 -6.1015 6.9439
O 2.8937 -6.4979 10.7079
O -3.6954 -8.1525 5.5025
O 0.0034 -6.1428 11.2939
O -1.5363 -2.8808 12.0479
O 2.5659 -6.6691 4.2504
O -5.8019 -3.2036 4.8774
O -2.7672 -6.4541 3.2662
Nb -4.7175 -2.6255 3.4687
Nb 1.5287 -2.9854 9.2441
Nb -0.8539 -7.2185 10.0454
Nb 4.0747 -7.8629 10.4187
Nb -3.6645 -3.9956 7.8551
Nb 3.0218 -6.4928 6.0323
Nb -2.1714 -7.5030 4.6434
Nb 0.2112 -3.2699 3.8420
Fe -0.3214 -5.2442 6.9437
Fe -3.3391 -2.7251 11.2697
Fe 2.6963 -7.7633 2.6177
Fe -2.4162 -5.0261 1.8853
Ba 1.0465 -3.9707 -0.0539
Ba -1.3679 -1.2735 6.9976
CELL_PARAMETERS angstrom
-6.9254 -2.1108 3.8783
2.0930 -7.9414 -0.1078
4.1896 -0.4362 10.1169
! **Symmetry**: C2/c
! **Calculated formation energy**: -2.643 eV/atom
! **Offset from the most stable computed form**: 69.7 meV/atom

=====

! Ba2NbFeO6 (PBE with a Hubbard U, optimized geometry); values from VASP
&SYSTEM
  ibrav = 0, nat = 30, ntyp = 4
/
ATOMIC_SPECIES
O 16.00 O.upf
Ba 137.33 Ba.upf
Nb 92.91 Nb.upf
Fe 55.84 Fe.upf
ATOMIC_POSITIONS angstrom
O 3.0109 -2.2829 2.6776
O 0.5742 -6.8604 6.5410
O 1.6352 -4.2676 5.9909
O 0.9583 -7.6280 3.6638
O -1.7406 -7.9168 4.9471
O 0.9032 -0.4970 1.7878
O 0.5273 0.2540 4.6031
O 0.5972 -2.5412 3.8252
O -0.0738 -10.2991 4.4042
O 3.1683 0.5366 3.3474
O 1.9963 -9.3544 5.8296
O 2.0662 -12.1496 5.0517
O 2.0194 -5.0351 3.1138
O 4.3342 -3.9788 4.7076
O 1.6903 -11.3985 7.8670
O -0.4174 -9.6127 6.9772
O -0.5747 -12.4322 6.3074
O 2.6674 -1.5965 5.2506
Ba -0.6799 -5.0233 4.3168
Ba -1.6933 -0.9651 3.0989
Ba 3.2735 -6.8723 5.3379
Ba 4.2868 -10.9304 6.5558
Ba 0.8352 -3.3446 1.0038
Ba 2.5105 -10.0538 3.0173
Nb 1.6729 -6.6992 2.0105
Nb 0.8128 -11.0010 6.1108
Nb 1.7808 -0.8945 3.5439
Fe 0.0000 0.0000 0.0000
Fe 0.1647 -8.4056 5.3319
Fe 2.4289 -3.4899 4.3228
CELL_PARAMETERS angstrom
4.5326 2.0685 3.1209
-5.2848 -0.5655 2.5128
3.3457 -13.3985 4.0211
! **Symmetry**: P-3m1
! **Calculated formation energy**: -2.877 eV/atom

=====

! Ba2NbFeO6 (PBE with a Hubbard U, optimized geometry); values from VASP
&SYSTEM
  ibrav = 0, nat = 20, ntyp = 4
/
ATOMIC_SPECIES
Ba 137.33 Ba.upf
O 16.00 O.upf
Nb 92.91 Nb.upf
Fe 55.84 Fe.upf
ATOMIC_POSITIONS angstrom
Ba -2.0540 -2.0538 -2.0539
Ba -2.0538 -6.1615 -2.0541
Ba 2.0540 -6.1615 -6.1620
Ba 2.0539 -2.0538 -6.1619
O -0.0001 2.0311 -4.1079
O 0.0000 -2.0311 -4.1080
O -2.0312 0.0000 -4.1079
O 0.0000 -4.1077 -6.1848
O 2.0313 -8.2154 -4.1081
O 2.0768 -4.1077 -4.1079
O -2.0768 -4.1077 -4.1080
O -0.0001 0.0000 -2.0767
O 0.0001 -8.2154 -6.1392
O 0.0000 -6.1842 -4.1080
O 0.0001 -10.2465 -4.1081
O 0.0001 -4.1076 -2.0311
Nb 0.0001 -0.0001 -4.1080
Nb -0.0001 -8.2153 -4.1079
Fe 0.0000 0.0000 0.0000
Fe 0.0000 -4.1077 -4.1079
CELL_PARAMETERS angstrom
-4.1079 -4.1076 -0.0001
-0.0001 4.1076 -4.1079
4.1080 -8.2154 -4.1080
! **Calculated formation energy**: -2.896 eV/atom